# 1
Entry from the Materials Project: crystalline Nd2CdNi2 at its relaxed geometry (PBE).

Properties
The value obtained for the formation energy is -357 meV/atom.

abc: 7.5143 7.5143 3.8389
angles: 90.00 90.00 90.00
Positions (direct):
Nd (0.1773, 0.3227, 0.0000)
Nd (0.3227, 0.8227, 0.0000)
Nd (0.6773, 0.1773, 0.0000)
Nd (0.8227, 0.6773, 0.0000)
Cd (0.0000, 0.0000, 0.5000)
Cd (0.5000, 0.5000, 0.5000)
Ni (0.1165, 0.6165, 0.5000)
Ni (0.3835, 0.1165, 0.5000)
Ni (0.6165, 0.8835, 0.5000)
Ni (0.8835, 0.3835, 0.5000)

***

# 2
Entry from the Materials Project: crystalline Sb2Te2O9 at its relaxed geometry (PBE).

Properties
The value obtained for the magnetic moment is 0.00 μB per formula unit. The value obtained for the formation energy is -1588 meV/atom.

abc: 21.6443 5.1514 14.4914
angles: 90.00 104.62 90.00
Positions (direct):
Sb (0.0520, 0.2070, 0.3260)
Sb (0.0520, 0.2930, 0.8260)
Sb (0.1576, 0.7257, 0.4723)
Sb (0.1576, 0.7743, 0.9723)
Sb (0.3153, 0.0534, 0.3188)
Sb (0.3153, 0.4466, 0.8188)
Sb (0.4403, 0.7054, 0.2661)
Sb (0.4403, 0.7946, 0.7661)
Sb (0.5597, 0.2054, 0.2339)
Sb (0.5597, 0.2946, 0.7339)
Sb (0.6847, 0.5534, 0.1812)
Sb (0.6847, 0.9466, 0.6812)
Sb (0.8424, 0.2257, 0.0277)
Sb (0.8424, 0.2743, 0.5277)
Sb (0.9480, 0.7070, 0.1740)
Sb (0.9480, 0.7930, 0.6740)
Te (0.0609, 0.1399, 0.1002)
Te (0.0609, 0.3601, 0.6002)
Te (0.2066, 0.5392, 0.2829)
Te (0.2066, 0.9608, 0.7829)
Te (0.2764, 0.2159, 0.5673)
Te (0.2764, 0.2841, 0.0673)
Te (0.4135, 0.7260, 0.5209)
Te (0.4135, 0.7740, 0.0209)
Te (0.5865, 0.2260, 0.9791)
Te (0.5865, 0.2740, 0.4791)
Te (0.7236, 0.7159, 0.9327)
Te (0.7236, 0.7841, 0.4327)
Te (0.7934, 0.0392, 0.2171)
Te (0.7934, 0.4608, 0.7171)
Te (0.9391, 0.6399, 0.3998)
Te (0.9391, 0.8601, 0.8998)
O (0.0083, 0.1118, 0.9183)
O (0.0083, 0.3882, 0.4183)
O (0.0244, 0.0235, 0.7227)
O (0.0244, 0.4765, 0.2227)
O (0.0786, 0.5691, 0.9227)
O (0.0786, 0.9309, 0.4227)
O (0.0976, 0.0588, 0.2325)
O (0.0976, 0.4412, 0.7325)
O (0.1202, 0.6110, 0.5781)
O (0.1202, 0.8890, 0.0781)
O (0.1310, 0.0818, 0.8820)
O (0.1310, 0.4182, 0.3820)
O (0.1936, 0.0373, 0.5491)
O (0.1936, 0.4627, 0.0491)
O (0.2026, 0.6857, 0.8715)
O (0.2026, 0.8143, 0.3715)
O (0.2383, 0.5480, 0.5408)
O (0.2383, 0.9520, 0.0408)
O (0.2655, 0.1863, 0.8735)
O (0.2655, 0.3137, 0.3735)
O (0.2717, 0.7477, 0.7514)
O (0.2717, 0.7523, 0.2514)
O (0.2729, 0.2379, 0.7024)
O (0.2729, 0.2621, 0.2024)
O (0.3364, 0.5860, 0.9495)
O (0.3364, 0.9140, 0.4495)
O (0.3767, 0.0850, 0.0364)
O (0.3767, 0.4150, 0.5364)
O (0.3866, 0.6095, 0.1421)
O (0.3866, 0.8905, 0.6421)
O (0.3947, 0.0455, 0.2830)
O (0.3947, 0.4545, 0.7830)
O (0.4216, 0.5832, 0.3826)
O (0.4216, 0.9168, 0.8826)
O (0.4969, 0.5830, 0.7120)
O (0.4969, 0.9170, 0.2120)
O (0.5031, 0.0830, 0.7880)
O (0.5031, 0.4170, 0.2880)
O (0.5784, 0.0832, 0.1174)
O (0.5784, 0.4168, 0.6174)
O (0.6053, 0.5455, 0.2170)
O (0.6053, 0.9545, 0.7170)
O (0.6134, 0.1095, 0.3579)
O (0.6134, 0.3905, 0.8579)
O (0.6233, 0.5850, 0.4636)
O (0.6233, 0.9150, 0.9636)
O (0.6636, 0.0860, 0.5505)
O (0.6636, 0.4140, 0.0505)
O (0.7271, 0.7379, 0.7976)
O (0.7271, 0.7621, 0.2976)
O (0.7283, 0.2477, 0.7486)
O (0.7283, 0.2523, 0.2486)
O (0.7345, 0.6863, 0.6265)
O (0.7345, 0.8137, 0.1265)
O (0.7617, 0.0480, 0.9592)
O (0.7617, 0.4520, 0.4592)
O (0.7974, 0.1857, 0.6285)
O (0.7974, 0.3143, 0.1285)
O (0.8064, 0.5373, 0.9509)
O (0.8064, 0.9627, 0.4509)
O (0.8690, 0.5818, 0.6180)
O (0.8690, 0.9182, 0.1180)
O (0.8798, 0.1110, 0.9219)
O (0.8798, 0.3890, 0.4219)
O (0.9024, 0.5588, 0.2675)
O (0.9024, 0.9412, 0.7675)
O (0.9214, 0.0691, 0.5773)
O (0.9214, 0.4309, 0.0773)
O (0.9756, 0.5235, 0.7773)
O (0.9756, 0.9765, 0.2773)
O (0.9917, 0.6118, 0.5817)
O (0.9917, 0.8882, 0.0817)

***

# 3
Entry from the Materials Project: crystalline LiSiH19C6N4 at its relaxed geometry (PBE).

Properties
The value obtained for the magnetic moment is 0.02 μB per formula unit. The value obtained for the formation energy is -277 meV/atom.

abc: 12.1857 9.4716 24.8541
angles: 90.00 111.74 90.00
Positions (direct):
Li (0.0680, 0.0833, 0.0415)
Li (0.0680, 0.4167, 0.5415)
Li (0.2107, 0.1799, 0.9989)
Li (0.2107, 0.3201, 0.4989)
Li (0.7893, 0.6799, 0.5011)
Li (0.7893, 0.8201, 0.0011)
Li (0.9320, 0.5833, 0.4585)
Li (0.9320, 0.9167, 0.9585)
Si (0.0796, 0.0405, 0.9023)
Si (0.0796, 0.4595, 0.4023)
Si (0.3115, 0.1818, 0.6001)
Si (0.3115, 0.3182, 0.1001)
Si (0.6885, 0.6818, 0.8999)
Si (0.6885, 0.8182, 0.3999)
Si (0.9204, 0.5405, 0.5977)
Si (0.9204, 0.9595, 0.0977)
H (0.0189, 0.7115, 0.8304)
H (0.0189, 0.7885, 0.3304)
H (0.0344, 0.7496, 0.0574)
H (0.0344, 0.7504, 0.5574)
H (0.0415, 0.5971, 0.2656)
H (0.0415, 0.9029, 0.7656)
H (0.0482, 0.1711, 0.3536)
H (0.0482, 0.3289, 0.8536)
H (0.0808, 0.7389, 0.9068)
H (0.0808, 0.7611, 0.4068)
H (0.1105, 0.1619, 0.5643)
H (0.1105, 0.3381, 0.0643)
H (0.1113, 0.6753, 0.1272)
H (0.1113, 0.8247, 0.6272)
H (0.1184, 0.0183, 0.2016)
H (0.1184, 0.4817, 0.7016)
H (0.1199, 0.0585, 0.7980)
H (0.1199, 0.4415, 0.2980)
H (0.1538, 0.6650, 0.7152)
H (0.1538, 0.8350, 0.2152)
H (0.1592, 0.2125, 0.3253)
H (0.1592, 0.2875, 0.8253)
H (0.1659, 0.5885, 0.4864)
H (0.1659, 0.9115, 0.9864)
H (0.1750, 0.7064, 0.8676)
H (0.1750, 0.7936, 0.3676)
H (0.1859, 0.7079, 0.5964)
H (0.1859, 0.7921, 0.0964)
H (0.1931, 0.0998, 0.3865)
H (0.1931, 0.4002, 0.8865)
H (0.1959, 0.1347, 0.6767)
H (0.1959, 0.3653, 0.1767)
H (0.1975, 0.6034, 0.3024)
H (0.1975, 0.8966, 0.8024)
H (0.2175, 0.0160, 0.4976)
H (0.2175, 0.4840, 0.9976)
H (0.2357, 0.5567, 0.6848)
H (0.2357, 0.9433, 0.1848)
H (0.2725, 0.6556, 0.0234)
H (0.2725, 0.8444, 0.5234)
H (0.2893, 0.2257, 0.7398)
H (0.2893, 0.2743, 0.2398)
H (0.3149, 0.1183, 0.8762)
H (0.3149, 0.3817, 0.3762)
H (0.3178, 0.0450, 0.7293)
H (0.3178, 0.4550, 0.2293)
H (0.3260, 0.0234, 0.1066)
H (0.3260, 0.4766, 0.6066)
H (0.3282, 0.0570, 0.9460)
H (0.3282, 0.4430, 0.4460)
H (0.3594, 0.2374, 0.9359)
H (0.3594, 0.2626, 0.4359)
H (0.3623, 0.5363, 0.0025)
H (0.3623, 0.9637, 0.5025)
H (0.4145, 0.6854, 0.1194)
H (0.4145, 0.8146, 0.6194)
H (0.4150, 0.5240, 0.5661)
H (0.4150, 0.9760, 0.0661)
H (0.4163, 0.7304, 0.3900)
H (0.4163, 0.7696, 0.8900)
H (0.4617, 0.7388, 0.8121)
H (0.4617, 0.7612, 0.3121)
H (0.4698, 0.5367, 0.1650)
H (0.4698, 0.9633, 0.6650)
H (0.4779, 0.6196, 0.7602)
H (0.4779, 0.6730, 0.4631)
H (0.4779, 0.8270, 0.9631)
H (0.4779, 0.8804, 0.2602)
H (0.4818, 0.0710, 0.3932)
H (0.4818, 0.4290, 0.8932)
H (0.4826, 0.0364, 0.1389)
H (0.4826, 0.4636, 0.6389)
H (0.4919, 0.1978, 0.2436)
H (0.4919, 0.3022, 0.7436)
H (0.4984, 0.1503, 0.5548)
H (0.4984, 0.3497, 0.0548)
H (0.5016, 0.6503, 0.9452)
H (0.5016, 0.8497, 0.4452)
H (0.5081, 0.6978, 0.2564)
H (0.5081, 0.8022, 0.7564)
H (0.5174, 0.5364, 0.3611)
H (0.5174, 0.9636, 0.8611)
H (0.5182, 0.5710, 0.1068)
H (0.5182, 0.9290, 0.6068)
H (0.5221, 0.1196, 0.7398)
H (0.5221, 0.1730, 0.0369)
H (0.5221, 0.3270, 0.5369)
H (0.5221, 0.3804, 0.2398)
H (0.5302, 0.0367, 0.3350)
H (0.5302, 0.4633, 0.8350)
H (0.5383, 0.2388, 0.6879)
H (0.5383, 0.2612, 0.1879)
H (0.5837, 0.2304, 0.1100)
H (0.5837, 0.2696, 0.6100)
H (0.5850, 0.0240, 0.9339)
H (0.5850, 0.4760, 0.4339)
H (0.5855, 0.1854, 0.3806)
H (0.5855, 0.3146, 0.8806)
H (0.6377, 0.0363, 0.4975)
H (0.6377, 0.4637, 0.9975)
H (0.6406, 0.7374, 0.5641)
H (0.6406, 0.7626, 0.0641)
H (0.6718, 0.5570, 0.5540)
H (0.6718, 0.9430, 0.0540)
H (0.6740, 0.5234, 0.3934)
H (0.6740, 0.9766, 0.8934)
H (0.6822, 0.5450, 0.7707)
H (0.6822, 0.9550, 0.2707)
H (0.6851, 0.6183, 0.6238)
H (0.6851, 0.8817, 0.1238)
H (0.7107, 0.7257, 0.7602)
H (0.7107, 0.7743, 0.2602)
H (0.7275, 0.1556, 0.4766)
H (0.7275, 0.3444, 0.9766)
H (0.7643, 0.0567, 0.8152)
H (0.7643, 0.4433, 0.3152)
H (0.7825, 0.5160, 0.0024)
H (0.7825, 0.9840, 0.5024)
H (0.8025, 0.1034, 0.1976)
H (0.8025, 0.3966, 0.6976)
H (0.8041, 0.6347, 0.8233)
H (0.8041, 0.8653, 0.3233)
H (0.8069, 0.5998, 0.1135)
H (0.8069, 0.9002, 0.6135)
H (0.8141, 0.2079, 0.9036)
H (0.8141, 0.2921, 0.4036)
H (0.8250, 0.2064, 0.6324)
H (0.8250, 0.2936, 0.1324)
H (0.8341, 0.0885, 0.0136)
H (0.8341, 0.4115, 0.5136)
H (0.8408, 0.7125, 0.1747)
H (0.8408, 0.7875, 0.6747)
H (0.8462, 0.1650, 0.7848)
H (0.8462, 0.3350, 0.2848)
H (0.8801, 0.5585, 0.7020)
H (0.8801, 0.9415, 0.2020)
H (0.8816, 0.5183, 0.2984)
H (0.8816, 0.9817, 0.7984)
H (0.8887, 0.1753, 0.3728)
H (0.8887, 0.3247, 0.8728)
H (0.8895, 0.6619, 0.9357)
H (0.8895, 0.8381, 0.4357)
H (0.9192, 0.2389, 0.5932)
H (0.9192, 0.2611, 0.0932)
H (0.9518, 0.6711, 0.1464)
H (0.9518, 0.8289, 0.6464)
H (0.9585, 0.0971, 0.2344)
H (0.9585, 0.4029, 0.7344)
H (0.9656, 0.2496, 0.4426)
H (0.9656, 0.2504, 0.9426)
H (0.9811, 0.2115, 0.6696)
H (0.9811, 0.2885, 0.1696)
C (0.0933, 0.7394, 0.3661)
C (0.0933, 0.7606, 0.8661)
C (0.1002, 0.7276, 0.6007)
C (0.1002, 0.7724, 0.1007)
C (0.1154, 0.5560, 0.3037)
C (0.1154, 0.9440, 0.8037)
C (0.1424, 0.1945, 0.3657)
C (0.1424, 0.3055, 0.8657)
C (0.1464, 0.5766, 0.6848)
C (0.1464, 0.9234, 0.1848)
C (0.2880, 0.1471, 0.7066)
C (0.2880, 0.3529, 0.2066)
C (0.2968, 0.5429, 0.0239)
C (0.2968, 0.9571, 0.5239)
C (0.3005, 0.1475, 0.9163)
C (0.3005, 0.3525, 0.4163)
C (0.4054, 0.0515, 0.0980)
C (0.4054, 0.4485, 0.5980)
C (0.4406, 0.5735, 0.1201)
C (0.4406, 0.9265, 0.6201)
C (0.4832, 0.2141, 0.7130)
C (0.4832, 0.2859, 0.2130)
C (0.4953, 0.7396, 0.4306)
C (0.4953, 0.7604, 0.9306)
C (0.5047, 0.2396, 0.0694)
C (0.5047, 0.2604, 0.5694)
C (0.5168, 0.7141, 0.7870)
C (0.5168, 0.7859, 0.2870)
C (0.5594, 0.0735, 0.3799)
C (0.5594, 0.4265, 0.8799)
C (0.5946, 0.5515, 0.4020)
C (0.5946, 0.9485, 0.9020)
C (0.6995, 0.6475, 0.5837)
C (0.6995, 0.8525, 0.0837)
C (0.7032, 0.0429, 0.4761)
C (0.7032, 0.4571, 0.9761)
C (0.7120, 0.6471, 0.7934)
C (0.7120, 0.8529, 0.2934)
C (0.8536, 0.0766, 0.8152)
C (0.8536, 0.4234, 0.3152)
C (0.8576, 0.6945, 0.1343)
C (0.8576, 0.8055, 0.6343)
C (0.8846, 0.0560, 0.1963)
C (0.8846, 0.4440, 0.6963)
C (0.8998, 0.2276, 0.8993)
C (0.8998, 0.2724, 0.3993)
C (0.9067, 0.2394, 0.1339)
C (0.9067, 0.2606, 0.6339)
N (0.0642, 0.6070, 0.6265)
N (0.0642, 0.8930, 0.1265)
N (0.1002, 0.5889, 0.3576)
N (0.1002, 0.9111, 0.8576)
N (0.1046, 0.5099, 0.4717)
N (0.1046, 0.9901, 0.9717)
N (0.1707, 0.2346, 0.5623)
N (0.1707, 0.2654, 0.0623)
N (0.1773, 0.1845, 0.9049)
N (0.1773, 0.3155, 0.4049)
N (0.3425, 0.0109, 0.5827)
N (0.3425, 0.4891, 0.0827)
N (0.3614, 0.1921, 0.6754)
N (0.3614, 0.3079, 0.1754)
N (0.3961, 0.1961, 0.0764)
N (0.3961, 0.3039, 0.5764)
N (0.6039, 0.6961, 0.4236)
N (0.6039, 0.8039, 0.9236)
N (0.6386, 0.6921, 0.8246)
N (0.6386, 0.8079, 0.3246)
N (0.6575, 0.5109, 0.9173)
N (0.6575, 0.9891, 0.4173)
N (0.8227, 0.6845, 0.5951)
N (0.8227, 0.8155, 0.0951)
N (0.8293, 0.7346, 0.9377)
N (0.8293, 0.7654, 0.4377)
N (0.8954, 0.0099, 0.0283)
N (0.8954, 0.4901, 0.5283)
N (0.8998, 0.0889, 0.1424)
N (0.8998, 0.4111, 0.6424)
N (0.9358, 0.1070, 0.8735)
N (0.9358, 0.3930, 0.3735)

***

# 4
Entry from the Materials Project: crystalline TiSn9O20 at its relaxed geometry (PBE).

Properties
The value obtained for the formation energy is -2233 meV/atom.

abc: 8.0411 8.0411 7.5354
angles: 92.34 92.34 50.08
Positions (direct):
Ti (0.0000, 0.0000, 0.0000)
Sn (0.0000, 0.0000, 0.5000)
Sn (0.1978, 0.1978, 0.1987)
Sn (0.1993, 0.1993, 0.7018)
Sn (0.3993, 0.3993, 0.4005)
Sn (0.4014, 0.4014, 0.9017)
Sn (0.5986, 0.5986, 0.0983)
Sn (0.6007, 0.6007, 0.5995)
Sn (0.8007, 0.8007, 0.2982)
Sn (0.8022, 0.8022, 0.8013)
O (0.0566, 0.0566, 0.2456)
O (0.0937, 0.7056, 0.4029)
O (0.1064, 0.4940, 0.8019)
O (0.1323, 0.1323, 0.9436)
O (0.2601, 0.2601, 0.4549)
O (0.2944, 0.9063, 0.5971)
O (0.2988, 0.7012, 0.0000)
O (0.3380, 0.3380, 0.1450)
O (0.4616, 0.4616, 0.6557)
O (0.4940, 0.1064, 0.8019)
O (0.5060, 0.8936, 0.1981)
O (0.5384, 0.5384, 0.3443)
O (0.6620, 0.6620, 0.8550)
O (0.7012, 0.2988, 0.0000)
O (0.7056, 0.0937, 0.4029)
O (0.7399, 0.7399, 0.5451)
O (0.8677, 0.8677, 0.0564)
O (0.8936, 0.5060, 0.1981)
O (0.9063, 0.2944, 0.5971)
O (0.9434, 0.9434, 0.7544)

***

# 5
Entry from the Materials Project: crystalline Fe10NiN8 at its relaxed geometry (PBE).

Properties
The value obtained for the magnetic moment is 8.97 μB per formula unit. The value obtained for the formation energy is 13 meV/atom.

abc: 7.7053 7.7053 6.3599
angles: 105.36 105.36 28.81
Positions (direct):
Fe (0.0210, 0.0210, 0.2162)
Fe (0.1560, 0.1560, 0.7085)
Fe (0.2138, 0.2138, 0.1723)
Fe (0.3310, 0.3310, 0.5431)
Fe (0.4137, 0.4137, 0.0059)
Fe (0.5863, 0.5863, 0.9941)
Fe (0.6690, 0.6690, 0.4569)
Fe (0.7862, 0.7862, 0.8277)
Fe (0.8440, 0.8440, 0.2915)
Fe (0.9790, 0.9790, 0.7838)
Ni (0.5000, 0.5000, 0.5000)
N (0.1052, 0.1052, 0.9575)
N (0.1915, 0.1915, 0.4389)
N (0.3433, 0.3433, 0.2529)
N (0.4542, 0.4542, 0.7463)
N (0.5458, 0.5458, 0.2537)
N (0.6567, 0.6567, 0.7471)
N (0.8085, 0.8085, 0.5611)
N (0.8948, 0.8948, 0.0425)